# 1
Compound: Sb2OsC4O4F12
Source: the Materials Project database
Functional: PBE
Structure: optimized geometry

Lattice parameters (Å, degrees): 16.3417 10.6761 9.0027 90.00 90.00 90.00
Positions (direct):
Sb  0.1066  0.1168  0.0000
Sb  0.1133  0.5888  0.7783
Sb  0.3867  0.0888  0.2783
Sb  0.3934  0.6168  0.5000
Sb  0.6066  0.3832  0.0000
Sb  0.6133  0.9112  0.7783
Sb  0.8867  0.4112  0.2783
Sb  0.8934  0.8832  0.5000
Os  0.1664  0.1844  0.4157
Os  0.3336  0.6844  0.9157
Os  0.6664  0.3156  0.4157
Os  0.8336  0.8156  0.9157
C  0.0723  0.2360  0.5242
C  0.1568  0.0070  0.4876
C  0.1804  0.3567  0.3326
C  0.2339  0.2248  0.5807
C  0.2661  0.7248  0.0807
C  0.3196  0.8567  0.8326
C  0.3432  0.5070  0.9876
C  0.4277  0.7360  0.0242
C  0.5723  0.2640  0.5242
C  0.6568  0.4930  0.4876
C  0.6804  0.1433  0.3326
C  0.7339  0.2752  0.5807
C  0.7661  0.7752  0.0807
C  0.8196  0.6433  0.8326
C  0.8432  0.9930  0.9876
C  0.9277  0.7640  0.0242
O  0.0149  0.2671  0.5874
O  0.1556  0.9048  0.5242
O  0.1897  0.4551  0.2862
O  0.2244  0.7470  0.1799
O  0.2756  0.2470  0.6799
O  0.3103  0.9551  0.7862
O  0.3444  0.4048  0.0242
O  0.4851  0.7671  0.0874
O  0.5149  0.2329  0.5874
O  0.6556  0.5952  0.5242
O  0.6897  0.0449  0.2862
O  0.7244  0.7530  0.1799
O  0.7756  0.2530  0.6799
O  0.8103  0.5449  0.7862
O  0.8444  0.0952  0.0242
O  0.9851  0.7329  0.0874
F  0.0021  0.4318  0.2892
F  0.0192  0.9983  0.0085
F  0.0282  0.2466  0.9847
F  0.0944  0.1293  0.2271
F  0.1071  0.7655  0.8077
F  0.1186  0.6088  0.5694
F  0.1207  0.1008  0.7901
F  0.1296  0.5661  0.9866
F  0.1372  0.4155  0.7500
F  0.1821  0.9842  0.0359
F  0.1914  0.2378  0.0218
F  0.2383  0.6173  0.7763
F  0.2617  0.1173  0.2763
F  0.3086  0.7378  0.5218
F  0.3179  0.4842  0.5359
F  0.3628  0.9155  0.2500
F  0.3704  0.0661  0.4866
F  0.3793  0.6008  0.2901
F  0.3814  0.1088  0.0694
F  0.3929  0.2655  0.3077
F  0.4056  0.6293  0.7271
F  0.4718  0.7466  0.4847
F  0.4808  0.4983  0.5085
F  0.4979  0.9318  0.7892
F  0.5021  0.0682  0.2892
F  0.5192  0.5017  0.0085
F  0.5282  0.2534  0.9847
F  0.5944  0.3707  0.2271
F  0.6071  0.7345  0.8077
F  0.6186  0.8912  0.5694
F  0.6207  0.3992  0.7901
F  0.6296  0.9339  0.9866
F  0.6372  0.0845  0.7500
F  0.6821  0.5158  0.0359
F  0.6914  0.2622  0.0218
F  0.7383  0.8827  0.7763
F  0.7617  0.3827  0.2763
F  0.8086  0.7622  0.5218
F  0.8179  0.0158  0.5359
F  0.8628  0.5845  0.2500
F  0.8704  0.4339  0.4866
F  0.8793  0.8992  0.2901
F  0.8814  0.3912  0.0694
F  0.8929  0.2345  0.3077
F  0.9056  0.8707  0.7271
F  0.9718  0.7534  0.4847
F  0.9808  0.0017  0.5085
F  0.9979  0.5682  0.7892

Calculated values
spin magnetization: 0.00 μB per formula unit
ΔH_f (0 K): -2.05 eV/atom
uncorrected energy: -0.4410 Ry per atom
crystal system: orthorhombic

---

# 2
Compound: PrScSi
Source: the Materials Project database
Functional: PBE
Structure: optimized geometry

Lattice parameters (Å, degrees): 7.8529 7.8529 7.8529 145.23 145.23 49.99
Positions (direct):
Pr  0.1426  0.1426  0.0000
Pr  0.8574  0.8574  0.0000
Sc  0.3938  0.3938  0.0000
Sc  0.6062  0.6062  0.0000
Si  0.0000  0.5000  0.5000
Si  0.5000  0.0000  0.5000

Calculated values
spin magnetization: 0.01 μB per formula unit
distance to the lowest polymorph of the same formula: 1.03 eV/f.u.
ΔH_f (0 K): -0.24 eV/atom
uncorrected energy: -0.4247 Ry per atom
crystal system: tetragonal